! NaZnB3H12 GGA-PBE relaxed; values from VASP
&SYSTEM
  ibrav = 0, nat = 68, ntyp = 4
/
ATOMIC_SPECIES
H 1.01 H.upf
Zn 65.41 Zn.upf
Na 22.99 Na.upf
B 10.81 B.upf
ATOMIC_POSITIONS angstrom
H 6.985 2.008 7.014
H 3.912 2.482 16.025
H -2.288 2.258 14.752
H -1.730 3.164 12.273
H 1.968 3.289 13.354
H 5.916 0.661 13.595
H 5.664 0.878 9.122
H -0.126 4.129 8.124
H 1.387 3.838 5.089
H 4.116 0.549 2.313
H 5.502 1.334 3.534
H 5.246 2.726 0.146
H 4.151 1.169 12.156
H 5.633 0.495 15.637
H 6.474 4.762 11.117
H 2.793 0.877 16.722
H 6.357 4.260 2.424
H -0.096 4.511 1.609
H 2.744 4.130 0.524
H -1.447 2.999 10.231
H 2.588 0.047 6.282
H 3.319 4.221 4.731
H 1.393 3.380 9.146
H 2.218 0.786 12.514
H 5.006 3.250 11.047
H 1.236 2.456 14.905
H -0.820 0.746 14.821
H 7.015 1.625 0.499
H 4.302 2.550 2.340
H 7.267 1.842 4.972
H 0.291 2.280 17.100
H 0.274 4.985 9.844
H 1.643 0.223 8.477
H 5.264 0.022 7.402
H 0.532 1.757 6.199
H 7.826 2.748 2.494
H 1.422 4.457 14.933
H 3.895 4.784 8.768
H 4.145 1.627 8.099
H 2.950 4.959 10.963
H 0.035 3.672 13.712
H -0.936 0.245 6.129
H 2.773 3.053 6.310
H 2.764 1.954 10.935
H -0.378 4.345 3.651
H 3.570 1.718 3.892
H -1.478 3.381 16.747
H 1.625 2.525 1.221
Zn 4.701 4.955 10.446
Zn 6.053 2.554 1.823
Zn 0.836 0.051 6.799
Zn -0.515 2.452 15.422
Na 4.848 1.962 5.927
Na 0.690 3.045 11.318
Na 3.496 0.541 14.550
Na 2.042 4.465 2.696
B -0.686 1.473 6.088
B 3.384 1.912 16.958
B 1.148 3.512 14.223
B -2.037 1.030 14.711
B 6.223 3.533 11.158
B 0.802 4.415 8.911
B 7.575 3.977 2.535
B 2.154 3.094 0.288
B 4.735 0.591 8.335
B 3.038 1.009 11.646
B 2.500 3.998 5.600
B 4.390 1.494 3.023
CELL_PARAMETERS angstrom
8.241 0.000 0.000
0.000 5.006 0.000
-2.704 0.000 17.246
! symmetry	P2_1/c (14)
! energy of formation from the pure elements	-253	meV per atom